Record 1
This record from the Materials Project describes a relaxed structure of KInBr3. The functional is PBE.

```
data_KInBr3
_chemical_formula_sum 'K4 In4 Br12'
_space_group_name_H-M_alt 'P 1'
_space_group_IT_number 1
_space_group_name_Hall 'P 1'
_cell_length_a 8.788
_cell_length_b 8.788
_cell_length_c 11.056
_cell_angle_alpha 90.00
_cell_angle_beta 90.00
_cell_angle_gamma 120.00
loop_
_atom_site_label
_atom_site_fract_x
_atom_site_fract_y
_atom_site_fract_z
K1 0.333 0.667 0.878
K2 0.667 0.333 0.122
K3 0.000 0.000 0.258
K4 0.000 0.000 0.742
In1 0.333 0.667 0.251
In2 0.667 0.333 0.749
In3 0.333 0.667 0.504
In4 0.667 0.333 0.496
Br1 0.285 0.389 0.127
Br2 0.611 0.896 0.127
Br3 0.104 0.715 0.127
Br4 0.715 0.611 0.873
Br5 0.389 0.104 0.873
Br6 0.896 0.285 0.873
Br7 0.093 0.699 0.625
Br8 0.301 0.393 0.625
Br9 0.607 0.907 0.625
Br10 0.907 0.301 0.375
Br11 0.699 0.607 0.375
Br12 0.393 0.093 0.375
```

Results
SG: P-3


Record 2
This record from the Materials Project describes a relaxed structure of RbAc3. The functional is PBE.

```
data_RbAc3
_chemical_formula_sum 'Rb2 Ac6'
_space_group_name_H-M_alt 'P 1'
_space_group_IT_number 1
_space_group_name_Hall 'P 1'
_cell_length_a 8.397
_cell_length_b 8.397
_cell_length_c 6.584
_cell_angle_alpha 90.00
_cell_angle_beta 90.00
_cell_angle_gamma 120.00
loop_
_atom_site_label
_atom_site_fract_x
_atom_site_fract_y
_atom_site_fract_z
Rb1 0.333 0.667 0.750
Rb2 0.667 0.333 0.250
Ac1 0.159 0.319 0.250
Ac2 0.681 0.841 0.250
Ac3 0.159 0.841 0.250
Ac4 0.841 0.681 0.750
Ac5 0.319 0.159 0.750
Ac6 0.841 0.159 0.750
```

Results
ΔE to the lowest computed polymorph, eV/atom: 0.010
SG: P6_3/mmc


Record 3
This record from the Materials Project describes a relaxed structure of Te6Mo3WS2. The functional is PBE.

```
data_Te6Mo3WS2
_chemical_formula_sum 'Te6 Mo3 W1 S2'
_space_group_name_H-M_alt 'P 1'
_space_group_IT_number 1
_space_group_name_Hall 'P 1'
_cell_length_a 3.457
_cell_length_b 3.457
_cell_length_c 39.264
_cell_angle_alpha 90.00
_cell_angle_beta 90.00
_cell_angle_gamma 120.00
loop_
_atom_site_label
_atom_site_fract_x
_atom_site_fract_y
_atom_site_fract_z
Te1 0.333 0.667 0.329
Te2 0.333 0.667 0.705
Te3 0.667 0.333 0.423
Te4 0.667 0.333 0.517
Te5 0.333 0.667 0.234
Te6 0.333 0.667 0.611
Mo1 0.333 0.667 0.094
Mo2 0.333 0.667 0.470
Mo3 0.667 0.333 0.658
W1 0.667 0.333 0.282
S1 0.667 0.333 0.056
S2 0.667 0.333 0.132
```

Results
ΔE to the lowest computed polymorph, eV/atom: 0.034
SG: P3m1


Record 4
This record from the Materials Project describes a relaxed structure of DyBr2. The functional is PBE.

```
data_DyBr2
_chemical_formula_sum 'Dy8 Br16'
_space_group_name_H-M_alt 'P 1'
_space_group_IT_number 1
_space_group_name_Hall 'P 1'
_cell_length_a 6.689
_cell_length_b 7.749
_cell_length_c 13.138
_cell_angle_alpha 90.00
_cell_angle_beta 90.00
_cell_angle_gamma 90.00
loop_
_atom_site_label
_atom_site_fract_x
_atom_site_fract_y
_atom_site_fract_z
Dy1 0.656 0.048 0.098
Dy2 0.156 0.952 0.402
Dy3 0.844 0.548 0.902
Dy4 0.344 0.452 0.598
Dy5 0.344 0.952 0.902
Dy6 0.844 0.048 0.598
Dy7 0.156 0.452 0.098
Dy8 0.656 0.548 0.402
Br1 0.023 0.798 0.038
Br2 0.523 0.202 0.462
Br3 0.477 0.298 0.962
Br4 0.977 0.702 0.538
Br5 0.977 0.202 0.962
Br6 0.477 0.798 0.538
Br7 0.523 0.702 0.038
Br8 0.023 0.298 0.462
Br9 0.787 0.372 0.210
Br10 0.287 0.628 0.290
Br11 0.713 0.872 0.790
Br12 0.213 0.128 0.710
Br13 0.213 0.628 0.790
Br14 0.713 0.372 0.710
Br15 0.287 0.128 0.210
Br16 0.787 0.872 0.290
```

Results
SG: Pbca


Record 5
This record from the Materials Project describes a relaxed structure of U2Te5. The functional is PBE.

```
data_U2Te5
_chemical_formula_sum 'U4 Te10'
_space_group_name_H-M_alt 'P 1'
_space_group_IT_number 1
_space_group_name_Hall 'P 1'
_cell_length_a 17.457
_cell_length_b 17.457
_cell_length_c 6.111
_cell_angle_alpha 84.95
_cell_angle_beta 84.95
_cell_angle_gamma 13.76
loop_
_atom_site_label
_atom_site_fract_x
_atom_site_fract_y
_atom_site_fract_z
U1 0.850 0.850 0.581
U2 0.150 0.150 0.419
U3 0.555 0.555 0.972
U4 0.445 0.445 0.028
Te1 0.121 0.121 0.936
Te2 0.879 0.879 0.064
Te3 0.700 0.700 0.640
Te4 0.300 0.300 0.360
Te5 0.299 0.299 0.848
Te6 0.000 0.000 0.250
Te7 0.418 0.418 0.542
Te8 0.701 0.701 0.152
Te9 0.000 0.000 0.750
Te10 0.582 0.582 0.458
```

Results
SG: C2/m


Record 6
This record from the Materials Project describes a relaxed structure of P3Rh4. The functional is PBE.

```
data_P3Rh4
_chemical_formula_sum 'P12 Rh16'
_space_group_name_H-M_alt 'P 1'
_space_group_IT_number 1
_space_group_name_Hall 'P 1'
_cell_length_a 3.346
_cell_length_b 10.120
_cell_length_c 11.796
_cell_angle_alpha 90.00
_cell_angle_beta 90.00
_cell_angle_gamma 90.00
loop_
_atom_site_label
_atom_site_fract_x
_atom_site_fract_y
_atom_site_fract_z
P1 0.750 0.921 0.631
P2 0.750 0.080 0.872
P3 0.750 0.240 0.624
P4 0.250 0.079 0.369
P5 0.250 0.740 0.876
P6 0.250 0.580 0.628
P7 0.250 0.920 0.128
P8 0.750 0.579 0.131
P9 0.250 0.421 0.869
P10 0.750 0.260 0.124
P11 0.750 0.420 0.372
P12 0.250 0.760 0.376
Rh1 0.250 0.930 0.771
Rh2 0.250 0.406 0.065
Rh3 0.750 0.882 0.973
Rh4 0.750 0.594 0.935
Rh5 0.250 0.291 0.295
Rh6 0.250 0.382 0.527
Rh7 0.750 0.070 0.229
Rh8 0.250 0.094 0.565
Rh9 0.250 0.570 0.271
Rh10 0.750 0.618 0.473
Rh11 0.750 0.906 0.435
Rh12 0.750 0.430 0.729
Rh13 0.250 0.118 0.027
Rh14 0.750 0.791 0.205
Rh15 0.750 0.709 0.705
Rh16 0.250 0.209 0.795
```

Results
SG: Pnma


Record 7
This record from the Materials Project describes a relaxed structure of CsTiS2. The functional is PBE.

```
data_CsTiS2
_chemical_formula_sum 'Cs1 Ti1 S2'
_space_group_name_H-M_alt 'P 1'
_space_group_IT_number 1
_space_group_name_Hall 'P 1'
_cell_length_a 3.730
_cell_length_b 3.730
_cell_length_c 8.251
_cell_angle_alpha 76.94
_cell_angle_beta 76.94
_cell_angle_gamma 60.00
loop_
_atom_site_label
_atom_site_fract_x
_atom_site_fract_y
_atom_site_fract_z
Cs1 0.833 0.833 0.501
Ti1 0.002 0.002 0.993
S1 0.613 0.613 0.162
S2 0.392 0.392 0.825
```

Results
SG: R3m


Formation enthalpy at 0 K across the listed records, respectively: -35.17 9.10 -9.18 -41.77 -19.57 -16.14 -33.96 kcal/mol of atoms.
DFT total energy across the listed records, respectively: -2.959 -2.941 -6.367 -4.082 -6.019 -7.228 -5.487 eV per atom.